(1)
Below is an optimized crystal structure of Cu27Se20, with properties calculated at the GGA-PBE level.

Cell: 4.022 4.022 79.839 Å, 59.75 59.75 60.00°
Fractional positions:
Cu  0.755  0.755  0.137
Cu  0.749  0.749  0.938
Cu  0.750  0.750  0.588
Cu  0.750  0.750  0.288
Cu  0.749  0.749  0.388
Cu  0.755  0.755  0.037
Cu  0.250  0.250  0.913
Cu  0.744  0.744  0.188
Cu  0.744  0.744  0.688
Cu  0.735  0.735  0.990
Cu  0.254  0.254  0.862
Cu  0.744  0.744  0.788
Cu  0.750  0.750  0.438
Cu  0.246  0.246  0.063
Cu  0.755  0.755  0.737
Cu  0.244  0.244  0.963
Cu  0.758  0.758  0.886
Cu  0.745  0.745  0.088
Cu  0.742  0.742  0.239
Cu  0.749  0.749  0.538
Cu  0.246  0.246  0.763
Cu  0.763  0.763  0.636
Cu  0.750  0.750  0.488
Cu  0.245  0.245  0.163
Cu  0.750  0.750  0.338
Cu  0.246  0.246  0.663
Cu  0.754  0.754  0.837
Se  0.007  0.007  0.149
Se  0.009  0.009  0.849
Se  0.998  0.998  0.000
Se  0.007  0.007  0.649
Se  0.997  0.997  0.800
Se  0.000  0.000  0.350
Se  0.999  0.999  0.950
Se  0.001  0.001  0.400
Se  0.997  0.997  0.700
Se  0.008  0.008  0.049
Se  0.000  0.000  0.900
Se  0.994  0.994  0.201
Se  0.000  0.000  0.300
Se  0.001  0.001  0.550
Se  0.997  0.997  0.100
Se  0.000  0.000  0.450
Se  0.005  0.005  0.599
Se  0.008  0.008  0.749
Se  0.001  0.001  0.250
Se  0.000  0.000  0.500

Summary:
Crystal system: trigonal
VASP energy, eV/f.u.: -184.158
Formation energy, eV/f.u.: -13.00
Corrected total energy (MP2020 scheme), eV per atom: -4.119


(2)
Below is an optimized crystal structure of Cu3Se2, with properties calculated at the GGA-PBE level.

Cell: 6.395 6.395 4.349 Å, 90.00 90.00 90.00°
Fractional positions:
Se  0.229  0.271  0.738
Se  0.771  0.729  0.738
Se  0.271  0.771  0.262
Se  0.729  0.229  0.262
Cu  0.000  0.000  0.000
Cu  0.146  0.646  0.755
Cu  0.500  0.500  0.000
Cu  0.854  0.354  0.755
Cu  0.646  0.854  0.245
Cu  0.354  0.146  0.245

Summary:
Crystal system: tetragonal
VASP energy, eV/f.u.: -19.955
Formation energy, eV/f.u.: -1.61
Corrected total energy (MP2020 scheme), eV per atom: -4.180


(3)
Below is an optimized crystal structure of CuSe, with properties calculated at the GGA-PBE level.

Cell: 3.935 3.935 17.432 Å, 90.00 90.00 120.00°
Fractional positions:
Se  0.000  0.000  0.090
Se  0.667  0.333  0.750
Se  0.000  0.000  0.910
Se  0.333  0.667  0.250
Se  0.000  0.000  0.410
Se  0.000  0.000  0.590
Cu  0.333  0.667  0.750
Cu  0.667  0.333  0.038
Cu  0.333  0.667  0.538
Cu  0.333  0.667  0.962
Cu  0.667  0.333  0.462
Cu  0.667  0.333  0.250

Summary:
Crystal system: hexagonal
VASP energy, eV/f.u.: -7.406
Formation energy, eV/f.u.: -0.28
Corrected total energy (MP2020 scheme), eV per atom: -3.939


(4)
Below is an optimized crystal structure of CuSe2, with properties calculated at the GGA-PBE level.

Cell: 3.811 5.042 6.219 Å, 90.00 90.00 90.00°
Fractional positions:
Se  0.500  0.688  0.115
Se  0.500  0.312  0.885
Se  0.000  0.812  0.615
Se  0.000  0.188  0.385
Cu  0.000  0.000  0.000
Cu  0.500  0.500  0.500

Summary:
Crystal system: orthorhombic
VASP energy, eV/f.u.: -11.341
Formation energy, eV/f.u.: -1.19
Corrected total energy (MP2020 scheme), eV per atom: -4.095


(5)
Below is an optimized crystal structure of Cu29Se19, with properties calculated at the GGA-PBE level.

Cell: 4.038 4.038 76.702 Å, 60.00 60.00 59.98°
Fractional positions:
Cu  0.739  0.739  0.146
Cu  0.241  0.241  0.962
Cu  0.252  0.252  0.697
Cu  0.748  0.748  0.882
Cu  0.244  0.244  0.067
Cu  0.761  0.761  0.617
Cu  0.749  0.749  0.724
Cu  0.749  0.749  0.776
Cu  0.749  0.749  0.250
Cu  0.749  0.749  0.829
Cu  0.251  0.251  0.855
Cu  0.252  0.252  0.750
Cu  0.248  0.248  0.908
Cu  0.244  0.244  0.488
Cu  0.750  0.750  0.671
Cu  0.756  0.756  0.565
Cu  0.749  0.749  0.355
Cu  0.729  0.729  0.990
Cu  0.741  0.741  0.515
Cu  0.749  0.749  0.303
Cu  0.251  0.251  0.802
Cu  0.256  0.256  0.591
Cu  0.747  0.747  0.935
Cu  0.750  0.750  0.197
Cu  0.742  0.742  0.093
Cu  0.253  0.253  0.644
Cu  0.749  0.749  0.408
Cu  0.757  0.757  0.038
Cu  0.767  0.767  0.458
Se  0.999  0.999  0.000
Se  0.000  0.000  0.158
Se  0.001  0.001  0.947
Se  0.999  0.999  0.211
Se  0.009  0.009  0.051
Se  0.001  0.001  0.316
Se  0.994  0.994  0.106
Se  0.001  0.001  0.368
Se  0.000  0.000  0.263
Se  0.999  0.999  0.737
Se  0.998  0.998  0.527
Se  0.001  0.001  0.842
Se  0.005  0.005  0.420
Se  0.000  0.000  0.789
Se  0.997  0.997  0.632
Se  0.998  0.998  0.685
Se  0.011  0.011  0.577
Se  0.003  0.003  0.894
Se  0.009  0.009  0.472

Summary:
Crystal system: monoclinic
VASP energy, eV/f.u.: -187.062
Formation energy, eV/f.u.: -10.73
Corrected total energy (MP2020 scheme), eV per atom: -4.084


(6)
Below is an optimized crystal structure of Cu2Se, with properties calculated at the GGA-PBE level.

Cell: 12.635 13.812 15.654 Å, 115.92 90.00 90.00°
Fractional positions:
Cu  0.926  0.339  0.900
Cu  0.262  0.920  0.271
Cu  0.614  0.841  0.378
Cu  0.074  0.661  0.100
Cu  0.946  0.825  0.686
Cu  0.092  0.783  0.008
Cu  0.114  0.659  0.622
Cu  0.768  0.714  0.638
Cu  0.831  0.495  0.553
Cu  0.801  0.861  0.283
Cu  0.602  0.049  0.388
Cu  0.169  0.505  0.447
Cu  0.130  0.985  0.419
Cu  0.716  0.729  0.477
Cu  0.054  0.175  0.314
Cu  0.732  0.214  0.638
Cu  0.554  0.325  0.686
Cu  0.567  0.887  0.223
Cu  0.630  0.515  0.581
Cu  0.651  0.061  0.057
Cu  0.751  0.143  0.221
Cu  0.669  0.995  0.553
Cu  0.592  0.717  0.992
Cu  0.139  0.938  0.925
Cu  0.454  0.172  0.297
Cu  0.933  0.387  0.223
Cu  0.042  0.147  0.828
Cu  0.092  0.194  0.133
Cu  0.749  0.643  0.221
Cu  0.291  0.752  0.025
Cu  0.209  0.075  0.215
Cu  0.291  0.575  0.215
Cu  0.791  0.748  0.975
Cu  0.417  0.720  0.497
Cu  0.639  0.562  0.075
Cu  0.408  0.283  0.008
Cu  0.059  0.925  0.609
Cu  0.750  0.923  0.140
Cu  0.908  0.806  0.867
Cu  0.574  0.839  0.900
Cu  0.249  0.857  0.779
Cu  0.592  0.306  0.867
Cu  0.067  0.613  0.777
Cu  0.046  0.672  0.297
Cu  0.408  0.694  0.133
Cu  0.268  0.786  0.362
Cu  0.941  0.075  0.391
Cu  0.446  0.675  0.314
Cu  0.870  0.015  0.581
Cu  0.398  0.951  0.612
Cu  0.199  0.139  0.717
Cu  0.738  0.080  0.729
Cu  0.750  0.423  0.140
Cu  0.762  0.580  0.729
Cu  0.699  0.361  0.283
Cu  0.861  0.062  0.075
Cu  0.370  0.485  0.419
Cu  0.433  0.113  0.777
Cu  0.958  0.853  0.172
Cu  0.441  0.425  0.609
Cu  0.426  0.161  0.100
Cu  0.583  0.280  0.503
Cu  0.897  0.549  0.388
Cu  0.908  0.217  0.992
Cu  0.083  0.220  0.497
Cu  0.784  0.229  0.477
Cu  0.886  0.341  0.378
Cu  0.331  0.005  0.447
Cu  0.349  0.939  0.943
Cu  0.284  0.271  0.523
Cu  0.709  0.248  0.975
Cu  0.386  0.159  0.622
Cu  0.542  0.353  0.172
Cu  0.107  0.457  0.143
Cu  0.559  0.575  0.391
Cu  0.458  0.647  0.828
Cu  0.103  0.451  0.612
Cu  0.151  0.439  0.943
Cu  0.954  0.328  0.703
Cu  0.709  0.425  0.785
Cu  0.250  0.577  0.860
Cu  0.893  0.543  0.857
Cu  0.232  0.286  0.362
Cu  0.917  0.780  0.503
Cu  0.361  0.438  0.925
Cu  0.791  0.925  0.785
Cu  0.607  0.043  0.857
Cu  0.393  0.957  0.143
Cu  0.238  0.420  0.271
Cu  0.209  0.252  0.025
Cu  0.546  0.828  0.703
Cu  0.216  0.771  0.523
Cu  0.251  0.357  0.779
Cu  0.849  0.561  0.057
Cu  0.250  0.077  0.860
Cu  0.301  0.639  0.717
Se  0.271  0.424  0.054
Se  0.080  0.988  0.274
Se  0.938  0.641  0.554
Se  0.918  0.707  0.205
Se  0.927  0.487  0.689
Se  0.427  0.013  0.311
Se  0.729  0.576  0.946
Se  0.927  0.211  0.213
Se  0.427  0.289  0.787
Se  0.419  0.614  0.961
Se  0.290  0.632  0.556
Se  0.710  0.368  0.444
Se  0.233  0.727  0.193
Se  0.570  0.908  0.070
Se  0.070  0.592  0.930
Se  0.420  0.488  0.274
Se  0.073  0.789  0.787
Se  0.062  0.359  0.446
Se  0.790  0.868  0.444
Se  0.765  0.043  0.312
Se  0.562  0.141  0.554
Se  0.418  0.793  0.795
Se  0.580  0.512  0.726
Se  0.910  0.172  0.559
Se  0.235  0.957  0.688
Se  0.438  0.859  0.446
Se  0.073  0.513  0.311
Se  0.920  0.012  0.726
Se  0.573  0.711  0.213
Se  0.735  0.543  0.312
Se  0.265  0.457  0.688
Se  0.081  0.114  0.961
Se  0.590  0.672  0.559
Se  0.581  0.386  0.039
Se  0.573  0.987  0.689
Se  0.767  0.273  0.807
Se  0.410  0.328  0.441
Se  0.930  0.408  0.070
Se  0.582  0.207  0.205
Se  0.082  0.293  0.795
Se  0.733  0.773  0.807
Se  0.229  0.924  0.054
Se  0.919  0.886  0.039
Se  0.430  0.092  0.930
Se  0.267  0.227  0.193
Se  0.090  0.828  0.441
Se  0.771  0.076  0.946
Se  0.210  0.132  0.556

Summary:
Crystal system: monoclinic
VASP energy, eV/f.u.: -11.779
Formation energy, eV/f.u.: -0.56
Corrected total energy (MP2020 scheme), eV per atom: -4.084